Entry from the Materials Project: FeOF after structural relaxation (PBE with a Hubbard U).

Calculated values
volume	333.6	Å³ per cell
ΔH_f (0 K)	-2.0212	eV/atom
corrected total energy (MP2020 scheme)	-7.1320	eV per atom
ρ	4070	kg/m3
largest piezoelectric modulus	0.7	C/m²
crystal system	trigonal

Geometry as CIF:
```
data_FeOF
_space_group_name_H-M_alt 'R 3'
_space_group_IT_number 146
_space_group_name_Hall 'R 3'
_cell_length_a 5.2220
_cell_length_b 5.2220
_cell_length_c 14.1258
_cell_angle_alpha 90.00
_cell_angle_beta 90.00
_cell_angle_gamma 120.00
loop_
_atom_site_label
_atom_site_type_symbol
_atom_site_fract_x
_atom_site_fract_y
_atom_site_fract_z
Fe1 Fe 0.0000 0.0000 0.0000
Fe2 Fe 0.0000 0.0000 0.2187
Fe3 Fe 0.0000 0.0000 0.5341
O1 O 0.0014 0.3445 0.2694
F1 F 0.0216 0.6103 0.7783
```